1.
Computed, not measured: crystalline Sr7CaMn2Fe6O24 at its relaxed geometry at the GGA+U level of DFT.

a b c (Å): 7.8234 7.8234 7.7796
angles (deg): 90.00 90.00 90.01
Fractional positions:
Ca 0.7494 0.7494 0.5000
Sr 0.7494 0.2506 0.5000
Sr 0.2506 0.7494 0.0000
Sr 0.7494 0.7494 0.0000
Sr 0.2506 0.2506 0.0000
Sr 0.7494 0.2506 0.0000
Sr 0.2506 0.2506 0.5000
Sr 0.2506 0.7494 0.5000
O 0.2491 0.9996 0.7497
O 0.2545 0.5003 0.7497
O 0.9974 0.9974 0.5000
O 0.9974 0.7509 0.2527
O 0.7509 0.9974 0.2527
O 0.5003 0.2545 0.7497
O 0.5026 0.9974 0.5000
O 0.9997 0.5003 0.0000
O 0.5028 0.5028 0.5000
O 0.5027 0.7456 0.2527
O 0.9974 0.7509 0.7473
O 0.5003 0.5003 0.0000
O 0.2491 0.9996 0.2503
O 0.7456 0.5027 0.2527
O 0.7456 0.5027 0.7473
O 0.2545 0.5003 0.2503
O 0.9997 0.9997 0.0000
O 0.9974 0.5026 0.5000
O 0.5003 0.2545 0.2503
O 0.9996 0.2491 0.2503
O 0.5003 0.9997 0.0000
O 0.9996 0.2491 0.7497
O 0.7509 0.9974 0.7473
O 0.5027 0.7456 0.7473
Fe 0.9994 0.5006 0.7494
Fe 0.5006 0.9994 0.7494
Fe 0.9994 0.5006 0.2506
Fe 0.9994 0.9994 0.7494
Fe 0.9994 0.9994 0.2506
Fe 0.5006 0.9994 0.2506
Mn 0.5005 0.5005 0.2506
Mn 0.5005 0.5005 0.7494

Values from the calculation:
total magnetic moment	33.0	μB per formula unit
symmetry	Amm2, No. 38
DFT total energy	-6.4866	eV/atom
V	11.90	A^3/atom


2.
Computed, not measured: crystalline DyCrO5 at its relaxed geometry at the GGA+U level of DFT.

a b c (Å): 8.2504 8.3154 11.5709
angles (deg): 90.00 90.00 90.46
Fractional positions:
O 0.1862 0.8929 0.2583
O 0.1571 0.0674 0.8103
O 0.1580 0.3674 0.8809
O 0.0742 0.6849 0.9017
O 0.3555 0.4202 0.5403
O 0.0967 0.1552 0.5851
O 0.1900 0.5825 0.1303
O 0.6617 0.0959 0.9840
O 0.8138 0.1071 0.7417
O 0.1618 0.5959 0.5160
O 0.5967 0.6552 0.9149
O 0.4977 0.3619 0.8350
O 0.6580 0.8674 0.6191
O 0.6571 0.5674 0.6897
O 0.3429 0.4326 0.3103
O 0.4838 0.9775 0.1951
O 0.0162 0.5225 0.6951
O 0.1445 0.0798 0.0403
O 0.8555 0.9202 0.9597
O 0.3138 0.6071 0.7583
O 0.9838 0.4775 0.3049
O 0.9033 0.8448 0.4149
O 0.3382 0.9041 0.0160
O 0.5023 0.6381 0.1650
O 0.8382 0.4041 0.4840
O 0.3100 0.9175 0.6303
O 0.6445 0.5798 0.4597
O 0.8420 0.6326 0.1191
O 0.6862 0.3929 0.2417
O 0.0023 0.1381 0.3350
O 0.4258 0.8151 0.4017
O 0.5162 0.0225 0.8049
O 0.8429 0.9326 0.1897
O 0.9977 0.8619 0.6650
O 0.8100 0.4175 0.8697
O 0.6900 0.0825 0.3697
O 0.9258 0.3151 0.0983
O 0.4033 0.3448 0.0851
O 0.3420 0.1326 0.3809
O 0.5742 0.1849 0.5983
Cr 0.8608 0.9982 0.3283
Cr 0.8612 0.4547 0.1894
Cr 0.3608 0.4982 0.1717
Cr 0.1392 0.0018 0.6717
Cr 0.3612 0.9547 0.3106
Cr 0.1388 0.5453 0.8106
Cr 0.6392 0.5018 0.8283
Cr 0.6388 0.0453 0.6894
Dy 0.3655 0.1669 0.9383
Dy 0.8655 0.6669 0.5617
Dy 0.9315 0.1781 0.9219
Dy 0.0685 0.8219 0.0781
Dy 0.1345 0.3331 0.4383
Dy 0.4315 0.6781 0.5781
Dy 0.6345 0.8331 0.0617
Dy 0.5685 0.3219 0.4219

Values from the calculation:
total magnetic moment	1.0	μB per formula unit
symmetry	P2_1/c, No. 14
DFT total energy	-7.1225	eV/atom
V	14.17	A^3/atom


3.
Computed, not measured: crystalline MoO2 at its relaxed geometry at the GGA+U level of DFT.

a b c (Å): 6.4349 6.4349 6.4349
angles (deg): 60.00 60.00 60.00
Fractional positions:
Mo 0.5000 0.0000 0.5000
Mo 0.0000 0.5000 0.5000
Mo 0.5000 0.5000 0.5000
Mo 0.5000 0.5000 0.0000
O 0.2722 0.2722 0.2722
O 0.7278 0.7278 0.3166
O 0.2722 0.2722 0.6834
O 0.7278 0.7278 0.7278
O 0.7278 0.3166 0.7278
O 0.6834 0.2722 0.2722
O 0.3166 0.7278 0.7278
O 0.2722 0.6834 0.2722

Values from the calculation:
total magnetic moment	2.0	μB per formula unit
symmetry	Fd-3m, No. 227
DFT total energy	-7.1680	eV/atom
V	15.70	A^3/atom


Question: Look up the DFT total energy of the second one.
Answer: -7.1225 eV/atom